# 1
ErSi2Pt2: optimized geometry, PBE.

The formation energy is -1011 meV per atom. For the density, the calculation gives 11.84 g/cm³.

The space group is I4/mmm (No. 139) and the conventional cell measures 4.179, 4.179 and 9.857 Å, with angles of 90.00, 90.00 and 90.00 degrees. The distinct sites, in fractional coordinates, are Er at (0.000, 0.000, 0.000), Si at (0.000, 0.000, 0.383) and Pt at (0.000, 0.500, 0.250).



# 2
ErSi2Pt2: optimized geometry, PBE.

The formation energy is -1065 meV per atom. For the density, the calculation gives 11.78 g/cm³.

The space group is P4/nmm (No. 129, origin choice 2) and the conventional cell measures 4.176, 4.176 and 9.917 Å, with angles of 90.00, 90.00 and 90.00 degrees. The distinct sites, in fractional coordinates, are Er at (0.250, 0.250, 0.247), Si at (0.250, 0.250, 0.636), Si at (0.250, 0.750, 0.000), Pt at (0.250, 0.250, 0.875) and Pt at (0.250, 0.750, 0.500).



Number 1: E -0.2397 Ha/atom. Number 2: E -0.2417 Ha/atom.